(P)
# KSe2O6

A geometry-optimized KSe2O6 structure (PBE-GGA, the Materials Project).

Results
Space-group type ... No. 60
Mass density ... 3.10 g/cm3
V ... 628.2 Å³/cell

Cell and atoms, written as POSCAR:
```
KSe2O6
1.0
6.088 -2.133 1.526
2.232 5.530 -1.173
-2.298 4.082 14.870
K Se O
4 8 24
direct
0.756 0.750 0.500 K
0.744 0.250 0.000 K
0.244 0.250 0.500 K
0.256 0.750 0.000 K
0.769 0.740 0.159 Se
0.731 0.240 0.341 Se
0.731 0.260 0.659 Se
0.769 0.760 0.841 Se
0.231 0.260 0.841 Se
0.269 0.760 0.659 Se
0.269 0.740 0.341 Se
0.231 0.240 0.159 Se
0.605 0.605 0.098 O
0.895 0.105 0.402 O
0.895 0.395 0.598 O
0.605 0.895 0.902 O
0.395 0.395 0.902 O
0.105 0.895 0.598 O
0.105 0.605 0.402 O
0.395 0.105 0.098 O
0.923 0.894 0.099 O
0.577 0.394 0.401 O
0.577 0.106 0.599 O
0.923 0.606 0.901 O
0.077 0.106 0.901 O
0.423 0.606 0.599 O
0.423 0.894 0.401 O
0.077 0.394 0.099 O
0.673 0.867 0.245 O
0.827 0.367 0.255 O
0.827 0.133 0.745 O
0.673 0.633 0.755 O
0.327 0.133 0.755 O
0.173 0.633 0.745 O
0.173 0.867 0.255 O
0.327 0.367 0.245 O
```

***

(Q)
# KSe2O6

A geometry-optimized KSe2O6 structure (PBE-GGA, the Materials Project).

Results
Space-group type ... No. 14
Mass density ... 3.05 g/cm3
V ... 638.1 Å³/cell

Cell and atoms, written as POSCAR:
```
KSe2O6
1.0
0.703 0.000 6.261
6.125 0.000 0.527
0.000 16.803 0.000
K Se O
4 8 24
direct
0.226 0.242 0.003 K
0.774 0.758 0.997 K
0.274 0.758 0.503 K
0.726 0.242 0.497 K
0.197 0.287 0.357 Se
0.803 0.713 0.643 Se
0.303 0.713 0.857 Se
0.697 0.287 0.143 Se
0.200 0.235 0.673 Se
0.800 0.765 0.327 Se
0.300 0.765 0.173 Se
0.700 0.235 0.827 Se
0.354 0.131 0.596 O
0.646 0.869 0.404 O
0.146 0.869 0.096 O
0.854 0.131 0.904 O
0.155 0.672 0.244 O
0.845 0.328 0.756 O
0.345 0.328 0.744 O
0.655 0.672 0.256 O
0.103 0.099 0.410 O
0.897 0.901 0.590 O
0.397 0.901 0.910 O
0.603 0.099 0.090 O
0.386 0.392 0.402 O
0.614 0.608 0.598 O
0.114 0.608 0.902 O
0.886 0.392 0.098 O
0.048 0.488 0.622 O
0.952 0.512 0.378 O
0.452 0.512 0.122 O
0.548 0.488 0.878 O
0.241 0.215 0.264 O
0.759 0.785 0.736 O
0.259 0.785 0.764 O
0.741 0.215 0.236 O
```

***

Relative energies, eV/atom: (P) 0.081; (Q) 0.000.